Entry 1:
SrCrO3 | GGA+U | optimized geometry

```
data_SrCrO3
_chemical_formula_sum 'Sr28 Cr28 O84'
_cell_length_a 32.2784
_cell_length_b 9.6195
_cell_length_c 5.5538
_cell_angle_alpha 90.00
_cell_angle_beta 90.00
_cell_angle_gamma 90.00
_symmetry_space_group_name_H-M 'A m a 2'
_symmetry_Int_Tables_number 40
loop_
_symmetry_equiv_pos_as_xyz
'x,y,z'
'-x,-y,z'
'-x+1/2,y,z'
'x+1/2,-y,z'
'x,y+1/2,z+1/2'
'-x,-y+1/2,z+1/2'
'-x+1/2,y+1/2,z+1/2'
'x+1/2,-y+1/2,z+1/2'
loop_
_atom_site_label
_atom_site_fract_x
_atom_site_fract_y
_atom_site_fract_z
Sr1 0.0402 0.1654 0.0000
Sr2 0.1055 0.4980 0.0020
Sr3 0.1773 0.1661 0.9990
Sr4 0.2500 0.3357 0.4989
Cr1 0.0000 0.0000 0.5053
Cr2 0.0658 0.3307 0.5075
Cr3 0.1454 0.3319 0.5077
Cr4 0.2105 0.4985 0.9941
O1 0.0340 0.1706 0.4925
O2 0.0348 0.4214 0.2365
O3 0.0346 0.4214 0.7465
O4 0.1056 0.2539 0.7395
O5 0.1060 0.2573 0.2739
O6 0.1063 0.4849 0.5001
O7 0.1773 0.4174 0.7434
O8 0.1781 0.1670 0.5051
O9 0.1784 0.4178 0.2456
O10 0.2500 0.0769 0.7262
O11 0.2500 0.0777 0.2692
O12 0.2500 0.3476 0.9985
```

## Properties
Energy of formation from the pure elements ... -2.446 eV per atom
V ... 12.318 Å³/atom

***

Entry 2:
CaV2O4 | GGA+U | optimized geometry

```
data_CaV2O4
_chemical_formula_sum 'Ca4 V8 O16'
_cell_length_a 13.7256
_cell_length_b 3.1757
_cell_length_c 9.3857
_cell_angle_alpha 90.00
_cell_angle_beta 125.51
_cell_angle_gamma 90.00
_symmetry_space_group_name_H-M 'C 1 2/m 1'
_symmetry_Int_Tables_number 12
loop_
_symmetry_equiv_pos_as_xyz
'x,y,z'
'-x,-y,-z'
'-x,y,-z'
'x,-y,z'
'x+1/2,y+1/2,z'
'-x+1/2,-y+1/2,-z'
'-x+1/2,y+1/2,-z'
'x+1/2,-y+1/2,z'
loop_
_atom_site_label
_atom_site_fract_x
_atom_site_fract_y
_atom_site_fract_z
Ca1 0.1521 0.0000 0.1729
V1 0.1348 0.5000 0.4683
V2 0.1381 0.0000 0.8239
O1 0.0386 0.0000 0.3010
O2 0.1336 0.5000 0.6839
O3 0.1656 0.5000 0.0026
O4 0.2394 0.5000 0.3828
```

## Properties
Energy of formation from the pure elements ... -2.685 eV per atom
V ... 11.894 Å³/atom
Polymorph energy (0 for the lowest one) ... 0.1164 eV per atom

***

Entry 3:
LiFeF4 | GGA+U | optimized geometry

```
data_LiFeF4
_chemical_formula_sum 'Li3 Fe3 F12'
_cell_length_a 5.2263
_cell_length_b 5.2263
_cell_length_c 12.0947
_cell_angle_alpha 90.00
_cell_angle_beta 90.00
_cell_angle_gamma 120.00
_symmetry_space_group_name_H-M 'P 31 2 1'
_symmetry_Int_Tables_number 152
loop_
_symmetry_equiv_pos_as_xyz
'x,y,z'
'-y,x-y,z+1/3'
'-x+y,-x,z+2/3'
'y,x,-z'
'x-y,-y,-z+2/3'
'-x,-x+y,-z+1/3'
loop_
_atom_site_label
_atom_site_fract_x
_atom_site_fract_y
_atom_site_fract_z
Li1 0.0000 0.4277 0.1667
Fe1 0.0000 0.4278 0.6667
F1 0.0706 0.6717 0.7873
F2 0.0716 0.6777 0.2919
```

## Properties
Energy of formation from the pure elements ... -2.729 eV per atom
V ... 15.895 Å³/atom
Polymorph energy (0 for the lowest one) ... 0.0953 eV per atom

***

Entry 4:
Li2CoSi3O8 | GGA+U | optimized geometry

```
data_Li2CoSi3O8
_chemical_formula_sum 'Li4 Co2 Si6 O16'
_cell_length_a 6.2849
_cell_length_b 8.5492
_cell_length_c 6.5801
_cell_angle_alpha 90.00
_cell_angle_beta 104.90
_cell_angle_gamma 90.00
_symmetry_space_group_name_H-M 'P 1 21 1'
_symmetry_Int_Tables_number 4
loop_
_symmetry_equiv_pos_as_xyz
'x,y,z'
'-x,y+1/2,-z'
loop_
_atom_site_label
_atom_site_fract_x
_atom_site_fract_y
_atom_site_fract_z
Li1 0.0888 0.0000 0.4921
Li2 0.3484 0.5138 0.2368
Co1 0.4571 0.3394 0.5984
Si1 0.0823 0.8336 0.9893
Si2 0.2544 0.1484 0.8917
Si3 0.3408 0.6710 0.7300
O1 0.0677 0.0110 0.8862
O2 0.1122 0.7119 0.8033
O3 0.1713 0.3081 0.9888
O4 0.2523 0.8151 0.2127
O5 0.2740 0.1665 0.6531
O6 0.2771 0.5337 0.5524
O7 0.4376 0.8326 0.6608
O8 0.4913 0.0976 0.0498
```

## Properties
Energy of formation from the pure elements ... -2.752 eV per atom
V ... 12.202 Å³/atom
Polymorph energy (0 for the lowest one) ... 0.0162 eV per atom
Maximum piezoelectric response ... 1.809 C/m2

***

Entry 5:
CaMg6FeO8 | GGA+U | optimized geometry

```
data_CaMg6FeO8
_chemical_formula_sum 'Ca1 Mg6 Fe1 O8'
_cell_length_a 4.3641
_cell_length_b 4.3641
_cell_length_c 8.7175
_cell_angle_alpha 90.00
_cell_angle_beta 90.00
_cell_angle_gamma 90.00
_symmetry_space_group_name_H-M 'P 4/m m m'
_symmetry_Int_Tables_number 123
_symmetry_space_group_name_Hall '-P 4 2'
loop_
_atom_site_label
_atom_site_fract_x
_atom_site_fract_y
_atom_site_fract_z
Ca1 0.0000 0.0000 0.0000
Mg1 0.0000 0.0000 0.5000
Mg2 0.0000 0.5000 0.2571
Mg3 0.5000 0.5000 0.5000
Fe1 0.5000 0.5000 0.0000
O1 0.0000 0.0000 0.2644
O2 0.0000 0.5000 0.0000
O3 0.0000 0.5000 0.5000
O4 0.5000 0.5000 0.2553
```

## Properties
Energy of formation from the pure elements ... -2.747 eV per atom
V ... 10.377 Å³/atom
Polymorph energy (0 for the lowest one) ... 0.0634 eV per atom

***

Entry 6:
Li9Mn2Co5O16 | GGA+U | optimized geometry

```
data_Li9Mn2Co5O16
_chemical_formula_sum 'Li9 Mn2 Co5 O16'
_cell_length_a 5.8993
_cell_length_b 2.8943
_cell_length_c 16.9715
_cell_angle_alpha 90.00
_cell_angle_beta 90.24
_cell_angle_gamma 90.00
_symmetry_space_group_name_H-M 'P 1 2/m 1'
_symmetry_Int_Tables_number 10
loop_
_symmetry_equiv_pos_as_xyz
'x,y,z'
'-x,-y,-z'
'-x,y,-z'
'x,-y,z'
loop_
_atom_site_label
_atom_site_fract_x
_atom_site_fract_y
_atom_site_fract_z
Li1 0.0000 0.0000 0.0000
Li2 0.0000 0.0000 0.5000
Li3 0.2542 0.5000 0.1235
Li4 0.2574 0.5000 0.6172
Li5 0.4977 0.0000 0.2557
Li6 0.5000 0.0000 0.5000
Mn1 0.0018 0.0000 0.2508
Co1 0.2528 0.5000 0.8755
Co2 0.2625 0.5000 0.3895
Co3 0.5000 0.0000 0.0000
O1 0.0217 0.0000 0.3629
O2 0.0236 0.0000 0.8673
O3 0.2203 0.5000 0.7487
O4 0.2209 0.5000 0.2447
O5 0.2435 0.5000 0.4940
O6 0.2640 0.5000 0.0012
O7 0.4793 0.0000 0.8772
O8 0.4814 0.0000 0.3727
```

## Properties
Energy of formation from the pure elements ... -1.808 eV per atom
V ... 9.055 Å³/atom
Polymorph energy (0 for the lowest one) ... 0.0559 eV per atom

***

Entry 7:
Cs3TlNi3F10 | GGA+U | optimized geometry

```
data_Cs3TlNi3F10
_chemical_formula_sum 'Cs12 Tl4 Ni12 F40'
_cell_length_a 14.5286
_cell_length_b 6.1587
_cell_length_c 13.8595
_cell_angle_alpha 90.00
_cell_angle_beta 90.27
_cell_angle_gamma 90.00
_symmetry_space_group_name_H-M 'C 1 2/m 1'
_symmetry_Int_Tables_number 12
loop_
_symmetry_equiv_pos_as_xyz
'x,y,z'
'-x,-y,-z'
'-x,y,-z'
'x,-y,z'
'x+1/2,y+1/2,z'
'-x+1/2,-y+1/2,-z'
'-x+1/2,y+1/2,-z'
'x+1/2,-y+1/2,z'
loop_
_atom_site_label
_atom_site_fract_x
_atom_site_fract_y
_atom_site_fract_z
Cs1 0.0472 0.0000 0.3600
Cs2 0.0477 0.5000 0.1394
Cs3 0.2445 0.5000 0.3887
Tl1 0.2491 0.0000 0.1109
Ni1 0.0000 0.0000 0.0000
Ni2 0.0000 0.5000 0.5000
Ni3 0.1194 0.0000 0.8471
Ni4 0.1189 0.5000 0.6540
F1 0.0264 0.0000 0.1433
F2 0.0260 0.5000 0.3559
F3 0.0991 0.2850 0.5385
F4 0.1008 0.2158 0.9617
F5 0.1148 0.2512 0.7511
F6 0.2463 0.5000 0.1472
F7 0.2467 0.0000 0.3509
```

## Properties
Energy of formation from the pure elements ... -2.519 eV per atom
V ... 18.237 Å³/atom

***

Entry 8:
Sr2FeCoO6 | GGA+U | optimized geometry

```
data_Sr2FeCoO6
_chemical_formula_sum 'Sr2 Fe1 Co1 O6'
_cell_length_a 5.4835
_cell_length_b 5.4835
_cell_length_c 3.8370
_cell_angle_alpha 90.00
_cell_angle_beta 90.00
_cell_angle_gamma 90.00
_symmetry_space_group_name_H-M 'P 4/m m m'
_symmetry_Int_Tables_number 123
_symmetry_space_group_name_Hall '-P 4 2'
loop_
_atom_site_label
_atom_site_fract_x
_atom_site_fract_y
_atom_site_fract_z
Sr1 0.0000 0.5000 0.0000
Fe1 0.0000 0.0000 0.5000
Co1 0.5000 0.5000 0.5000
O1 0.0000 0.0000 0.0000
O2 0.2515 0.2515 0.5000
O3 0.5000 0.5000 0.0000
```

## Properties
Energy of formation from the pure elements ... -2.076 eV per atom
V ... 11.538 Å³/atom

***

Final energy, record by record: -6.8716 -7.5161 -5.0514 -7.0125 -5.9913 -5.7987 -4.2424 -6.1390 eV/atom